# 1
Entry from the Materials Project database: a relaxed LiCeF5 crystal (PBE-GGA).

Cell lengths 11.057, 11.057, 11.057 Å; angles 95.21, 95.21, 144.92 degrees
Fractional coordinates of all 56 atoms:
Li 0.966 0.476 0.659
Li 0.818 0.307 0.341
Li 0.432 0.443 0.159
Li 0.284 0.274 0.841
Li 0.524 0.182 0.489
Li 0.693 0.034 0.511
Li 0.557 0.716 0.989
Li 0.726 0.568 0.011
Ce 0.819 0.689 0.742
Ce 0.947 0.077 0.258
Ce 0.303 0.673 0.242
Ce 0.431 0.061 0.758
Ce 0.311 0.053 0.130
Ce 0.923 0.181 0.870
Ce 0.327 0.569 0.630
Ce 0.939 0.697 0.370
F 0.557 0.348 0.633
F 0.714 0.923 0.367
F 0.536 0.827 0.133
F 0.693 0.402 0.867
F 0.652 0.286 0.209
F 0.077 0.443 0.791
F 0.173 0.307 0.709
F 0.598 0.464 0.291
F 0.863 0.728 0.550
F 0.178 0.313 0.450
F 0.072 0.437 0.050
F 0.387 0.022 0.950
F 0.272 0.822 0.134
F 0.687 0.137 0.866
F 0.563 0.613 0.634
F 0.978 0.928 0.366
F 0.598 0.558 0.864
F 0.694 0.734 0.136
F 0.556 0.016 0.364
F 0.652 0.192 0.636
F 0.442 0.306 0.040
F 0.266 0.402 0.960
F 0.984 0.348 0.540
F 0.808 0.444 0.460
F 0.026 0.691 0.734
F 0.958 0.292 0.266
F 0.292 0.458 0.234
F 0.224 0.059 0.766
F 0.309 0.042 0.335
F 0.708 0.974 0.665
F 0.542 0.776 0.835
F 0.941 0.708 0.165
F 0.946 0.987 0.821
F 0.166 0.124 0.179
F 0.084 0.626 0.321
F 0.304 0.763 0.679
F 0.013 0.834 0.959
F 0.876 0.054 0.041
F 0.374 0.696 0.459
F 0.237 0.916 0.541

Its space-group type is I4_1/a. Its energy of formation is -3.8131 eV per atom.


# 2
Entry from the Materials Project database: a relaxed PrTlO3 crystal (PBE-GGA).

Cell lengths 4.645, 4.645, 4.645 Å; angles 90.00, 90.00, 90.00 degrees
Fractional coordinates of all 5 atoms:
Pr 0.000 0.000 0.000
Tl 0.500 0.500 0.500
O 0.000 0.000 0.500
O 0.000 0.500 0.000
O 0.500 0.000 0.000

Its space-group type is Pm-3m. Its energy of formation is -1.7718 eV per atom.


# 3
Entry from the Materials Project database: a relaxed CsEuPO4 crystal (PBE-GGA).

Cell lengths 5.744, 7.902, 10.278 Å; angles 90.00, 90.00, 90.00 degrees
Fractional coordinates of all 28 atoms:
Cs 0.750 0.135 0.913
Cs 0.250 0.865 0.087
Cs 0.250 0.365 0.413
Cs 0.750 0.635 0.587
Eu 0.750 0.505 0.181
Eu 0.250 0.495 0.819
Eu 0.250 0.995 0.681
Eu 0.750 0.005 0.319
P 0.750 0.208 0.583
P 0.250 0.792 0.417
P 0.250 0.292 0.083
P 0.750 0.708 0.917
O 0.525 0.266 0.657
O 0.475 0.734 0.343
O 0.475 0.234 0.157
O 0.025 0.734 0.343
O 0.525 0.766 0.843
O 0.975 0.266 0.657
O 0.975 0.766 0.843
O 0.025 0.234 0.157
O 0.750 0.012 0.571
O 0.250 0.988 0.429
O 0.250 0.488 0.071
O 0.750 0.512 0.929
O 0.750 0.781 0.060
O 0.250 0.219 0.940
O 0.250 0.719 0.560
O 0.750 0.281 0.440

Its space-group type is Pnma. Its energy of formation is -2.9202 eV per atom.


# 4
Entry from the Materials Project database: a relaxed Hf2TlC crystal (PBE-GGA).

Cell lengths 3.347, 3.347, 14.841 Å; angles 90.00, 90.00, 120.00 degrees
Fractional coordinates of all 8 atoms:
Hf 0.333 0.667 0.418
Hf 0.667 0.333 0.582
Hf 0.667 0.333 0.918
Hf 0.333 0.667 0.082
Tl 0.333 0.667 0.750
Tl 0.667 0.333 0.250
C 0.000 0.000 0.500
C 0.000 0.000 0.000

Its space-group type is P6_3/mmc. Its energy of formation is -0.6295 eV per atom.


- energy of formation of number 3 (CsEuPO4)?
  -2.9202 eV per atom